[1]
Compound: La2FeSe2O2
Source: the Materials Project
Functional: PBE+U
Structure: relaxed

Summary:
**Total magnetization**: 4.0 μB per formula unit

Structure (CIF):
```
data_La2FeSe2O2
_chemical_formula_sum 'La16 Fe8 Se16 O16'
_symmetry_space_group_name_H-M 'P 1'
_symmetry_Int_Tables_number 1
_cell_length_a 4.0339
_cell_length_b 16.5344
_cell_length_c 17.6521
_cell_angle_alpha 90.00
_cell_angle_beta 90.00
_cell_angle_gamma 90.00
loop_
_symmetry_equiv_pos_as_xyz
'x,y,z'
loop_
_atom_site_label
_atom_site_fract_x
_atom_site_fract_y
_atom_site_fract_z
La1 0.0014 0.9770 0.0900
La2 0.5014 0.0230 0.9100
La3 0.5014 0.4770 0.4100
La4 0.0014 0.5230 0.5900
La5 0.5086 0.4822 0.0903
La6 0.0086 0.5178 0.9097
La7 0.0086 0.9822 0.4097
La8 0.5086 0.0178 0.5903
La9 0.0072 0.6775 0.0842
La10 0.5072 0.3225 0.9158
La11 0.5072 0.1775 0.4158
La12 0.0072 0.8225 0.5842
La13 0.4997 0.1720 0.0882
La14 0.9997 0.8280 0.9118
La15 0.9997 0.6720 0.4118
La16 0.4997 0.3280 0.5882
Fe1 0.0016 0.3844 0.7518
Fe2 0.5016 0.6156 0.2482
Fe3 0.5016 0.8844 0.7482
Fe4 0.0016 0.1156 0.2518
Fe5 0.0023 0.3380 0.2233
Fe6 0.5023 0.6620 0.7767
Fe7 0.5023 0.8380 0.2767
Fe8 0.0023 0.1620 0.7233
Se1 0.0175 0.0117 0.7492
Se2 0.5175 0.9883 0.2508
Se3 0.5175 0.5117 0.7508
Se4 0.0175 0.4883 0.2492
Se5 0.0054 0.3304 0.0748
Se6 0.5054 0.6696 0.9252
Se7 0.5054 0.8304 0.4252
Se8 0.0054 0.1696 0.5748
Se9 0.5066 0.8274 0.0609
Se10 0.0066 0.1726 0.9391
Se11 0.0066 0.3274 0.4391
Se12 0.5066 0.6726 0.5609
Se13 0.0045 0.7543 0.7478
Se14 0.5045 0.2457 0.2522
Se15 0.5045 0.2543 0.7522
Se16 0.0045 0.7457 0.2478
O1 0.0003 0.1173 0.1403
O2 0.5003 0.8827 0.8597
O3 0.5003 0.6173 0.3597
O4 0.0003 0.3827 0.6403
O5 0.5070 0.6221 0.1362
O6 0.0070 0.3779 0.8638
O7 0.0070 0.1221 0.3638
O8 0.5070 0.8779 0.6362
O9 0.0011 0.5380 0.4534
O10 0.5011 0.4620 0.5466
O11 0.5011 0.0380 0.0466
O12 0.0011 0.9620 0.9534
O13 0.5087 0.0420 0.4560
O14 0.0087 0.9580 0.5440
O15 0.0087 0.5420 0.0440
O16 0.5087 0.4580 0.9560
```

[2]
Compound: ZnNi2O4
Source: the Materials Project
Functional: PBE+U
Structure: relaxed

Summary:
**Total magnetization**: 2.0 μB per formula unit

Structure (CIF):
```
data_ZnNi2O4
_chemical_formula_sum 'Zn2 Ni4 O8'
_symmetry_space_group_name_H-M 'P 1'
_symmetry_Int_Tables_number 1
_cell_length_a 5.8998
_cell_length_b 5.8397
_cell_length_c 5.9055
_cell_angle_alpha 60.20
_cell_angle_beta 59.20
_cell_angle_gamma 60.12
loop_
_symmetry_equiv_pos_as_xyz
'x,y,z'
loop_
_atom_site_label
_atom_site_fract_x
_atom_site_fract_y
_atom_site_fract_z
Zn1 0.8676 0.8740 0.8791
Zn2 0.1324 0.1260 0.1209
Ni1 0.5000 0.5000 0.5000
Ni2 0.5000 0.5000 0.0000
Ni3 0.0000 0.5000 0.5000
Ni4 0.5000 0.0000 0.5000
O1 0.2901 0.2461 0.2549
O2 0.7384 0.7338 0.2930
O3 0.2762 0.7269 0.7329
O4 0.7424 0.2875 0.7466
O5 0.7238 0.2731 0.2671
O6 0.2576 0.7125 0.2534
O7 0.2616 0.2662 0.7070
O8 0.7099 0.7539 0.7451
```

[3]
Compound: ZrCoF6
Source: the Materials Project
Functional: PBE+U
Structure: relaxed

Structure (CIF):
```
data_ZrCoF6
_chemical_formula_sum 'Zr1 Co1 F6'
_symmetry_space_group_name_H-M 'P 1'
_symmetry_Int_Tables_number 1
_cell_length_a 5.7313
_cell_length_b 5.7313
_cell_length_c 5.7313
_cell_angle_alpha 59.26
_cell_angle_beta 59.26
_cell_angle_gamma 59.26
loop_
_symmetry_equiv_pos_as_xyz
'x,y,z'
loop_
_atom_site_label
_atom_site_fract_x
_atom_site_fract_y
_atom_site_fract_z
Zr1 0.5000 0.5000 0.5000
Co1 0.0000 0.0000 0.0000
F1 0.2507 0.6901 0.8098
F2 0.8098 0.2507 0.6901
F3 0.3099 0.1902 0.7493
F4 0.1902 0.7493 0.3099
F5 0.7493 0.3099 0.1902
F6 0.6901 0.8098 0.2507
```

[4]
Compound: Ce2MgV2O8
Source: the Materials Project
Functional: PBE+U
Structure: relaxed

Summary:
**Total magnetization**: 4.0 μB per formula unit

Structure (CIF):
```
data_Ce2MgV2O8
_chemical_formula_sum 'Ce2 Mg1 V2 O8'
_symmetry_space_group_name_H-M 'P 1'
_symmetry_Int_Tables_number 1
_cell_length_a 5.1377
_cell_length_b 5.3244
_cell_length_c 7.9302
_cell_angle_alpha 105.73
_cell_angle_beta 104.67
_cell_angle_gamma 101.93
loop_
_symmetry_equiv_pos_as_xyz
'x,y,z'
loop_
_atom_site_label
_atom_site_fract_x
_atom_site_fract_y
_atom_site_fract_z
Ce1 0.5992 0.8508 0.1998
Ce2 0.4196 0.1691 0.8383
Mg1 0.2692 0.5175 0.5359
V1 0.0684 0.3195 0.1374
V2 0.9362 0.6859 0.8719
O1 0.3739 0.6373 0.3400
O2 0.9660 0.2040 0.3394
O3 0.2056 0.4797 0.9488
O4 0.7431 0.9691 0.9484
O5 0.5761 0.4098 0.6835
O6 0.1089 0.7721 0.6842
O7 0.7914 0.5280 0.0713
O8 0.2797 0.0447 0.0711
```

[5]
Compound: AlMoO3
Source: the Materials Project
Functional: PBE+U
Structure: relaxed

Summary:
**Total magnetization**: 2.2 μB per formula unit

Structure (CIF):
```
data_AlMoO3
_chemical_formula_sum 'Al2 Mo2 O6'
_symmetry_space_group_name_H-M 'P 1'
_symmetry_Int_Tables_number 1
_cell_length_a 3.2631
_cell_length_b 3.2631
_cell_length_c 12.4036
_cell_angle_alpha 90.00
_cell_angle_beta 90.00
_cell_angle_gamma 120.00
loop_
_symmetry_equiv_pos_as_xyz
'x,y,z'
loop_
_atom_site_label
_atom_site_fract_x
_atom_site_fract_y
_atom_site_fract_z
Al1 0.0000 0.0000 0.5000
Al2 0.0000 0.0000 0.0000
Mo1 0.6667 0.3333 0.7500
Mo2 0.3333 0.6667 0.2500
O1 0.3333 0.6667 0.4285
O2 0.6667 0.3333 0.9285
O3 0.6667 0.3333 0.5715
O4 0.3333 0.6667 0.0715
O5 0.0000 0.0000 0.2500
O6 0.0000 0.0000 0.7500
```

[6]
Compound: CrSiH12O6F6
Source: the Materials Project
Functional: PBE+U
Structure: relaxed

Summary:
**Total magnetization**: 0.0 μB per formula unit

Structure (CIF):
```
data_CrSiH12O6F6
_chemical_formula_sum 'Cr2 Si2 H24 O12 F12'
_symmetry_space_group_name_H-M 'P 1'
_symmetry_Int_Tables_number 1
_cell_length_a 6.4714
_cell_length_b 6.4184
_cell_length_c 13.0191
_cell_angle_alpha 98.08
_cell_angle_beta 97.63
_cell_angle_gamma 94.51
loop_
_symmetry_equiv_pos_as_xyz
'x,y,z'
loop_
_atom_site_label
_atom_site_fract_x
_atom_site_fract_y
_atom_site_fract_z
Cr1 0.9989 0.9997 0.4998
Cr2 0.0007 0.0003 0.0003
Si1 0.5024 0.4965 0.2495
Si2 0.4976 0.5034 0.7505
H1 0.1786 0.6792 0.3896
H2 0.1738 0.6821 0.8899
H3 0.2193 0.8126 0.1547
H4 0.2182 0.8199 0.6541
H5 0.3358 0.2243 0.4072
H6 0.3336 0.2237 0.9073
H7 0.6666 0.7767 0.0926
H8 0.6643 0.7758 0.5928
H9 0.7811 0.1800 0.3452
H10 0.7808 0.1867 0.8455
H11 0.8266 0.3179 0.1105
H12 0.8214 0.3210 0.6103
H13 0.0646 0.4020 0.1038
H14 0.0578 0.4064 0.6028
H15 0.2174 0.0573 0.1999
H16 0.2143 0.0653 0.6982
H17 0.5731 0.7869 0.4747
H18 0.5729 0.7922 0.9754
H19 0.4277 0.2084 0.0246
H20 0.4265 0.2129 0.5253
H21 0.7848 0.9345 0.3011
H22 0.7830 0.9421 0.8005
H23 0.9423 0.5934 0.3971
H24 0.9359 0.5982 0.8966
O1 0.0616 0.6956 0.4304
O2 0.0568 0.6977 0.9308
O3 0.1446 0.9389 0.1484
O4 0.1422 0.9454 0.6474
O5 0.3201 0.1486 0.4665
O6 0.3194 0.1465 0.9662
O7 0.6803 0.8550 0.0341
O8 0.6797 0.8512 0.5334
O9 0.8574 0.0547 0.3516
O10 0.8558 0.0607 0.8520
O11 0.9439 0.3023 0.0697
O12 0.9383 0.3045 0.5695
F1 0.3295 0.3025 0.2781
F2 0.3248 0.3081 0.7785
F3 0.3104 0.5589 0.1565
F4 0.3052 0.5664 0.6580
F5 0.4217 0.6754 0.3434
F6 0.4179 0.6829 0.8443
F7 0.5820 0.3170 0.1558
F8 0.5782 0.3245 0.6566
F9 0.6948 0.4335 0.3420
F10 0.6896 0.4411 0.8435
F11 0.6752 0.6917 0.2215
F12 0.6704 0.6975 0.7219
```

[7]
Compound: Li3V8O16
Source: the Materials Project
Functional: PBE+U
Structure: relaxed

Summary:
**Total magnetization**: 11.0 μB per formula unit

Structure (CIF):
```
data_Li3V8O16
_chemical_formula_sum 'Li6 V16 O32'
_symmetry_space_group_name_H-M 'P 1'
_symmetry_Int_Tables_number 1
_cell_length_a 8.4924
_cell_length_b 8.5212
_cell_length_c 10.2846
_cell_angle_alpha 114.18
_cell_angle_beta 114.29
_cell_angle_gamma 89.37
loop_
_symmetry_equiv_pos_as_xyz
'x,y,z'
loop_
_atom_site_label
_atom_site_fract_x
_atom_site_fract_y
_atom_site_fract_z
Li1 0.4001 0.1391 0.7597
Li2 0.8761 0.1257 0.2390
Li3 0.6837 0.4326 0.6168
Li4 0.3045 0.5568 0.3723
Li5 0.0601 0.8086 0.8755
Li6 0.4390 0.6880 0.1234
V1 0.2445 0.2509 0.9967
V2 0.5015 0.9924 0.4957
V3 0.8640 0.1275 0.7531
V4 0.2602 0.2528 0.5017
V5 0.1100 0.3692 0.7373
V6 0.3671 0.1196 0.2448
V7 0.9923 0.4965 0.9923
V8 0.6186 0.3714 0.2331
V9 0.7446 0.7394 0.9971
V10 0.9938 0.5042 0.4962
V11 0.3714 0.6216 0.7472
V12 0.7433 0.7450 0.4986
V13 0.6300 0.8662 0.7500
V14 0.8752 0.6271 0.2521
V15 0.4937 0.9924 0.0008
V16 0.1294 0.8695 0.2593
O1 0.6245 0.0928 0.7381
O2 0.0055 0.2756 0.9903
O3 0.2845 0.0189 0.5068
O4 0.1152 0.1549 0.7700
O5 0.1358 0.1177 0.2804
O6 0.2234 0.4798 0.9765
O7 0.4802 0.2307 0.4839
O8 0.8902 0.3735 0.7583
O9 0.6035 0.1225 0.2184
O10 0.2617 0.0158 0.0043
O11 0.0152 0.2792 0.5132
O12 0.3394 0.3642 0.7255
O13 0.2384 0.4886 0.5086
O14 0.1279 0.6024 0.7361
O15 0.4741 0.2277 0.9960
O16 0.3667 0.3497 0.2225
O17 0.7524 0.4986 0.4787
O18 0.6155 0.6371 0.7593
O19 0.8696 0.3943 0.2639
O20 0.5032 0.7515 0.9862
O21 0.9780 0.7179 0.4850
O22 0.4135 0.8801 0.7731
O23 0.6499 0.6199 0.2545
O24 0.7353 0.9613 0.9950
O25 0.7693 0.5254 0.0130
O26 0.5113 0.7655 0.5124
O27 0.8465 0.8732 0.7436
O28 0.0967 0.6231 0.2367
O29 0.8817 0.8480 0.2340
O30 0.7309 0.9920 0.5169
O31 0.9901 0.7288 0.0083
O32 0.3659 0.8901 0.2599
```

[8]
Compound: KV2FeAg2O8
Source: the Materials Project
Functional: PBE+U
Structure: relaxed

Summary:
**Total magnetization**: 0.0 μB per formula unit

Structure (CIF):
```
data_KV2FeAg2O8
_chemical_formula_sum 'K2 V4 Fe2 Ag4 O16'
_symmetry_space_group_name_H-M 'P 1'
_symmetry_Int_Tables_number 1
_cell_length_a 5.5373
_cell_length_b 14.9466
_cell_length_c 5.5379
_cell_angle_alpha 89.99
_cell_angle_beta 59.97
_cell_angle_gamma 89.99
loop_
_symmetry_equiv_pos_as_xyz
'x,y,z'
loop_
_atom_site_label
_atom_site_fract_x
_atom_site_fract_y
_atom_site_fract_z
K1 0.0003 0.0000 0.9996
K2 0.9997 0.5000 0.0003
V1 0.6665 0.8665 0.6669
V2 0.3334 0.6335 0.3331
V3 0.6668 0.3665 0.6667
V4 0.3334 0.1335 0.3332
Fe1 0.0001 0.2500 0.0000
Fe2 0.9999 0.7500 0.0000
Ag1 0.6669 0.1359 0.6663
Ag2 0.6669 0.6359 0.6664
Ag3 0.3331 0.3641 0.3337
Ag4 0.3330 0.8641 0.3336
O1 0.6670 0.4793 0.6667
O2 0.6667 0.9794 0.6669
O3 0.3331 0.0206 0.3333
O4 0.3332 0.5206 0.3331
O5 0.9223 0.3298 0.3287
O6 0.9220 0.8299 0.3289
O7 0.3289 0.3299 0.7489
O8 0.3287 0.8300 0.7490
O9 0.7489 0.3297 0.9223
O10 0.7486 0.8297 0.9222
O11 0.0777 0.1701 0.6715
O12 0.0778 0.6702 0.6711
O13 0.6714 0.1700 0.2510
O14 0.6712 0.6701 0.2511
O15 0.2512 0.1702 0.0776
O16 0.2513 0.6703 0.0777
```

In order of appearance, ΔH_f (0 K) = -236.2 -113.5 -328.7 -301.0 -197.1 -182.1 -237.4 -177.4 kJ per mole of atoms.